Entry from the Materials Project database: BaMo2P4O14 after structural relaxation (PBE with a Hubbard U).

Lattice parameters (Å, degrees): 7.753 7.753 10.087 99.88 99.88 89.32
Sites, in units of the cell vectors:
Ba (0.000, 0.500, 0.000)
Ba (0.500, 0.000, 0.500)
Mo (0.000, 0.000, 0.000)
Mo (0.000, 0.000, 0.500)
Mo (0.455, 0.545, 0.750)
Mo (0.545, 0.455, 0.250)
P (0.179, 0.268, 0.300)
P (0.252, 0.633, 0.444)
P (0.268, 0.179, 0.800)
P (0.367, 0.748, 0.056)
P (0.633, 0.252, 0.944)
P (0.732, 0.821, 0.200)
P (0.748, 0.367, 0.556)
P (0.821, 0.732, 0.700)
O (0.054, 0.224, 0.164)
O (0.136, 0.474, 0.344)
O (0.148, 0.165, 0.410)
O (0.158, 0.799, 0.411)
O (0.165, 0.148, 0.910)
O (0.201, 0.842, 0.089)
O (0.224, 0.054, 0.664)
O (0.259, 0.374, 0.790)
O (0.260, 0.612, 0.591)
O (0.362, 0.566, 0.099)
O (0.374, 0.259, 0.290)
O (0.388, 0.740, 0.909)
O (0.434, 0.638, 0.401)
O (0.474, 0.136, 0.844)
O (0.526, 0.864, 0.156)
O (0.566, 0.362, 0.599)
O (0.612, 0.260, 0.091)
O (0.626, 0.741, 0.710)
O (0.638, 0.434, 0.901)
O (0.740, 0.388, 0.409)
O (0.741, 0.626, 0.210)
O (0.776, 0.946, 0.336)
O (0.799, 0.158, 0.911)
O (0.835, 0.852, 0.090)
O (0.842, 0.201, 0.589)
O (0.852, 0.835, 0.590)
O (0.864, 0.526, 0.656)
O (0.946, 0.776, 0.836)

Output
space-group type: C2/c
total DFT energy (no corrections): -310.2 eV for the cell shown
crystal system: monoclinic
formation enthalpy at 0 K: -2.694 eV/atom
total energy after the MP2020 corrections: -342.23 eV per cell